# Cs2HgBr4

An optimized crystal structure of Cs2HgBr4 (GGA-PBE, the Materials Project).

The energy relative to the elements is -1.57 eV/atom.

The structure belongs to space group Pnma (No. 62); the cell edges are 10.519, 8.187 and 14.441 Å and the angles 90.00°, 90.00° and 90.00°. The asymmetric unit holds Cs at (0.017, 0.250, 0.171), Cs at (0.121, 0.750, 0.400), Hg at (0.222, 0.750, 0.077), Br at (0.028, 0.250, 0.911), Br at (0.178, 0.250, 0.405) and Br at (0.178, 0.514, 0.658).

---

# Cs2HgBr4

An optimized crystal structure of Cs2HgBr4 (GGA-PBE, the Materials Project).

The energy relative to the elements is -1.57 eV/atom.

The structure belongs to space group P2_1/c (No. 14); the cell edges are 8.159, 10.502 and 16.577 Å and the angles 90.00°, 119.36° and 90.00°. The asymmetric unit holds Cs at (0.090, 0.016, 0.329), Cs at (0.342, 0.118, 0.101), Hg at (0.323, 0.723, 0.076), Br at (0.103, 0.675, 0.637), Br at (0.195, 0.676, 0.407), Br at (0.329, 0.186, 0.818) and Br at (0.344, 0.029, 0.589).

---

# CsHg2Br5

An optimized crystal structure of CsHg2Br5 (GGA-PBE, the Materials Project).

The energy relative to the elements is -1.16 eV/atom.

The structure belongs to space group P2_1/m (No. 11); the cell edges are 8.630, 6.569 and 11.629 Å and the angles 90.00°, 107.29° and 90.00°. The asymmetric unit holds Cs at (0.029, 0.250, 0.254), Hg at (0.372, 0.750, 0.556), Hg at (0.462, 0.750, 0.141), Br at (0.074, 0.750, 0.432), Br at (0.163, 0.750, 0.101), Br at (0.258, 0.250, 0.875), Br at (0.402, 0.250, 0.562) and Br at (0.487, 0.250, 0.212).

---

# CsHgBr3

An optimized crystal structure of CsHgBr3 (GGA-PBE, the Materials Project).

The energy relative to the elements is -1.31 eV/atom.

The structure belongs to space group Pm-3m (No. 221); the cell edges are 5.695, 5.695 and 5.695 Å and the angles 90.00°, 90.00° and 90.00°. The asymmetric unit holds Cs at (0.000, 0.000, 0.000), Hg at (0.500, 0.500, 0.500) and Br at (0.000, 0.500, 0.500).

---

# CsHgBr3

An optimized crystal structure of CsHgBr3 (GGA-PBE, the Materials Project).

The energy relative to the elements is -1.35 eV/atom.

The structure belongs to space group C2/c (No. 15); the cell edges are 24.575, 8.416 and 14.963 Å and the angles 90.00°, 126.04° and 90.00°. The asymmetric unit holds Cs at (0.088, 0.227, 0.181), Cs at (0.250, 0.250, 0.000), Hg at (0.000, 0.239, 0.750), Hg at (0.164, 0.235, 0.572), Br at (0.076, 0.015, 0.931), Br at (0.087, 0.301, 0.715), Br at (0.088, 0.471, 0.463), Br at (0.242, 0.074, 0.747) and Br at (0.250, 0.250, 0.500).

---

# Cs2HgBr4

An optimized crystal structure of Cs2HgBr4 (GGA-PBE, the Materials Project).

The energy relative to the elements is -1.57 eV/atom.

The structure belongs to space group P2_1/c (No. 14); the cell edges are 10.923, 7.942 and 16.670 Å and the angles 90.00°, 118.90° and 90.00°. The asymmetric unit holds Cs at (0.063, 0.246, 0.402), Cs at (0.436, 0.746, 0.841), Hg at (0.305, 0.743, 0.546), Br at (0.120, 0.749, 0.866), Br at (0.246, 0.015, 0.123), Br at (0.251, 0.006, 0.624) and Br at (0.425, 0.242, 0.909).

---

# Cs2HgSbBr6

An optimized crystal structure of Cs2HgSbBr6 (GGA-PBE, the Materials Project).

The energy relative to the elements is -1.39 eV/atom.

The structure belongs to space group Fm-3m (No. 225); the cell edges are 11.653, 11.653 and 11.653 Å and the angles 90.00°, 90.00° and 90.00°. The asymmetric unit holds Cs at (0.250, 0.250, 0.250), Hg at (0.000, 0.000, 0.000), Sb at (0.000, 0.000, 0.500) and Br at (0.000, 0.000, 0.259).

---

# Cs2ScHgBr6

An optimized crystal structure of Cs2ScHgBr6 (GGA-PBE, the Materials Project).

The energy relative to the elements is -1.77 eV/atom.

The structure belongs to space group Fm-3m (No. 225); the cell edges are 11.488, 11.488 and 11.488 Å and the angles 90.00°, 90.00° and 90.00°. The asymmetric unit holds Cs at (0.250, 0.250, 0.250), Sc at (0.000, 0.000, 0.000), Hg at (0.000, 0.000, 0.500) and Br at (0.000, 0.000, 0.233).

---

# Cs3Ho2Br9

An optimized crystal structure of Cs3Ho2Br9 (GGA-PBE, the Materials Project).

The energy relative to the elements is -2.25 eV/atom.

The structure belongs to space group R-3c (No. 167, hexagonal axes); the cell edges are 13.9797, 13.9797 and 20.1336 Å and the angles 90.00°, 90.00° and 120.00°. The asymmetric unit holds Cs at (0.0000, 0.3383, 0.2500), Ho at (0.0000, 0.0000, 0.1534), Br at (0.0000, 0.1544, 0.7500) and Br at (0.0054, 0.1739, 0.4099).

---

Number 1: final energy -69.9 eV per cell. Number 2: final energy -69.9 eV per cell. Number 3: final energy -32.6 eV per cell. Number 4: final energy -11.1 eV per cell. Number 5: final energy -135.0 eV per cell. Number 6: final energy -70.0 eV per cell. Number 7: final energy -106.9 eV per cell. Number 8: final energy -131.1 eV per cell. Number 9: final energy -319.8 eV per cell.